[1]
## Be3Zn2N2F12 (PBE)

Data for Be3Zn2N2F12 after structural relaxation.

```
Be3Zn2N2F12
1.0
-4.1968 9.0627 0.7286
-3.8740 -1.0564 -9.1735
-8.2254 -4.1265 3.9488
F Zn N Be
48 8 8 12
Cartesian
-6.9141 1.9584 -6.1745
-11.2832 5.3273 -5.1679
-3.4865 -1.2000 -4.7718
-6.0325 1.7955 -8.5598
-7.8149 5.3564 0.0227
-10.3536 -4.1604 -5.5413
-7.7106 -1.0907 -4.8907
-12.7585 4.5017 -2.6585
-9.0243 1.3947 -0.8985
-12.4097 3.0415 -5.1827
-11.2531 3.3295 4.1825
-9.3279 -1.5873 -0.4855
-4.9759 5.8758 0.5666
-8.0663 3.6253 -2.4461
-10.7790 3.3499 -1.4659
-9.9201 -3.7273 0.7648
-7.1751 -2.5555 1.2620
-6.6052 5.5682 -3.1509
-4.7039 3.0776 1.0936
-3.0446 5.1241 -0.9162
-10.0071 3.3293 -4.2817
-7.8108 -1.0372 3.2514
-12.6799 -0.7083 -2.1908
-5.7445 3.8551 -1.4213
-8.9898 1.0713 1.6115
-10.3492 -1.4983 1.8843
-5.9242 3.2896 -3.8810
-7.3972 -0.1211 -7.6268
-10.4437 3.4250 -6.7289
-12.6717 0.0709 -4.6713
-4.3174 0.6006 -6.3722
-13.0613 3.4148 -0.3736
-5.3502 -1.8658 -0.8298
-7.3240 2.6353 0.6279
-4.5254 7.0195 -1.7042
-3.5446 2.0258 -4.0157
-7.3398 7.5921 -1.1788
-11.6106 5.5529 -0.6635
-5.4321 -1.0759 2.3874
-5.3194 -1.7787 -6.4184
-7.2382 7.6985 -6.5995
-7.0590 0.1633 0.1574
-5.8788 0.4296 -3.8905
-7.4097 7.4941 1.3494
-8.3444 1.0356 -3.6729
-7.3507 -1.0206 -2.4301
-13.4009 1.6394 -2.8000
-10.9432 0.8751 -3.0066
-9.5988 -0.1033 3.1385
-5.2213 1.8653 -5.1159
-6.1469 7.5057 -2.8071
-7.3165 -1.9116 -6.6943
-6.1879 4.2890 0.4787
-9.5300 2.2689 -2.6293
-13.8505 3.2976 -3.8213
-7.3325 -1.6921 -0.5337
-10.1294 -2.0676 -3.2807
-11.6634 0.9534 0.1763
-10.0967 0.4947 -5.8981
-7.7951 4.7528 -5.8557
-9.9945 3.9619 1.4336
-9.6004 6.0184 -2.9306
-4.6732 1.1126 -1.2893
-1.2317 0.2932 -0.3398
-7.2233 1.4359 -7.6231
-11.0453 3.8000 -5.3565
-4.0171 -0.9327 -6.2111
-6.6984 -1.9490 2.6302
-8.0964 1.3268 0.3501
-12.4424 0.4544 -3.1797
-8.0363 6.9113 0.0485
-3.8731 6.3551 -0.4441
-12.0732 4.2121 -1.2751
-7.3287 -0.1443 -3.7019
-6.5973 4.0607 -2.7242
-10.3452 -2.2511 0.5103
```

energy	-4.45	eV per atom
SG	No. 198
total magnetization	24.02	Bohr magnetons per cell
V	13.2	Å³/atom

[2]
## LiInSe2 (PBE)

Data for LiInSe2 after structural relaxation.

```
LiInSe2
1.0
-3.5046 -4.1006 4.2989
-4.2540 3.8627 3.8159
1.0071 -0.3187 -6.8163
Li Se In
2 4 2
Cartesian
0.0000 0.0000 0.0000
-3.1884 -2.2691 0.7700
-5.7354 -0.1759 5.9987
-5.4192 1.6556 2.4698
-2.0232 -0.0620 2.1161
-1.7070 1.7695 -1.4128
-3.5631 1.7125 0.5285
-3.8793 -0.1190 4.0574
```

energy	-3.67	eV per atom
SG	No. 141
total magnetization	0.00	Bohr magnetons per cell
V	22.5	Å³/atom

[3]
## Sr5V2N6 (PBE)

Data for Sr5V2N6 after structural relaxation.

```
Sr5V2N6
1.0
6.1594 -0.0346 -0.0579
-3.5036 5.5922 0.0000
-2.1794 -1.3654 13.4846
N Sr V
12 10 4
Cartesian
-0.9307 3.8278 5.8398
-1.5550 2.4022 12.5821
-0.1023 -0.4622 5.0040
2.0267 4.7653 1.6804
-0.5672 3.1609 1.9031
-1.5502 -0.5731 11.7463
1.0437 1.0312 11.5236
1.4072 0.3644 7.5869
2.4729 1.1720 4.7813
0.5788 4.6544 8.4227
-1.9965 3.0202 8.6454
2.0314 1.7900 0.8446
0.6099 1.0608 2.9115
-2.7115 3.1170 3.3712
-0.1334 3.1314 10.5152
-4.1617 3.1617 13.4464
1.8609 3.0414 6.7226
-1.3845 1.1508 6.7041
0.3456 4.7888 3.7729
-2.9714 1.1098 10.1135
0.1309 -0.5966 9.6538
4.6382 1.0305 -0.0197
1.5263 -0.1026 5.7163
-0.5162 0.7355 12.4586
0.9927 3.4567 0.9681
-1.0498 4.2948 7.7104
```

energy	-6.87	eV per atom
SG	No. 15
total magnetization	0.00	Bohr magnetons per cell
V	17.8	Å³/atom

[4]
## MgCu3Ge4O12 (PBE)

Data for MgCu3Ge4O12 after structural relaxation.

```
MgCu3Ge4O12
1.0
5.9398 0.0000 -2.1002
-2.9699 5.1441 -2.1000
-0.0001 0.0000 6.3001
Ge O Cu Mg
4 12 3 1
Cartesian
1.4849 2.5720 1.0500
2.9698 0.0000 5.2500
-0.0001 0.0000 3.1501
-1.4849 2.5720 -1.0500
0.1882 1.5324 2.0099
0.6656 4.2157 1.6077
1.5494 4.5415 -2.1912
-1.0123 3.6117 3.7076
2.7816 3.6117 0.0901
3.9821 1.5324 -1.6076
4.7075 0.9283 2.1917
1.4204 0.6026 4.2912
-1.7377 4.2157 -0.0917
2.6219 2.6836 2.5920
2.3041 0.9283 0.4923
0.3479 2.4605 -0.4920
1.4848 2.5720 4.2000
4.4548 2.5720 -0.0001
2.9698 0.0000 2.1000
2.9699 5.1440 -4.2001
```

energy	-5.89	eV per atom
SG	No. 204
total magnetization	2.99	Bohr magnetons per cell
V	9.6	Å³/atom

[5]
## U6O11 (PBE)

Data for U6O11 after structural relaxation.

```
U6O11
1.0
5.7689 3.3315 0.0000
-5.7689 3.3315 0.0000
0.0000 2.2199 6.2838
U O
6 11
Cartesian
-3.8518 4.4394 3.1270
3.8518 4.4394 3.1270
0.0000 4.4482 3.2336
0.0000 2.3102 6.2593
2.0269 5.5035 6.2625
-2.0269 5.5035 6.2625
-1.8367 3.3834 2.2840
-3.8535 4.4430 0.7890
0.0000 2.2160 3.9273
1.9813 5.5553 3.9272
1.8367 3.3834 2.2840
-1.9813 5.5553 3.9272
-3.9293 4.3919 5.5730
0.0000 6.5591 2.2955
3.9293 4.3919 5.5730
3.8535 4.4430 0.7890
0.0000 4.5356 5.5537
```

energy	-10.35	eV per atom
SG	No. 8
total magnetization	14.00	Bohr magnetons per cell
V	14.2	Å³/atom

[6]
## Ca2AlH10ClO8 (PBE)

Data for Ca2AlH10ClO8 after structural relaxation.

```
Ca2AlH10ClO8
1.0
2.8444 5.0788 0.0000
-2.8444 5.0788 0.0000
0.0000 3.0032 15.8788
Ca H O Al Cl
4 20 16 2 2
Cartesian
1.4123 4.2366 0.6075
1.4123 7.4226 7.3319
-1.4123 5.7382 8.5469
-1.4123 8.9242 15.2713
1.6205 5.7454 9.8499
-0.6478 8.5022 12.3308
0.1944 1.8669 1.8896
-0.6136 1.9364 4.4056
0.6136 11.2245 11.4733
-0.0026 6.5944 14.0101
-0.6136 9.7229 3.5339
-0.6478 6.1603 11.4874
0.1944 9.7923 6.0498
0.6136 3.4380 12.3450
0.6478 7.0006 4.3914
0.6478 4.6587 3.5480
-0.1944 11.2939 13.9893
0.0026 6.5665 1.8688
1.6205 8.9170 13.9683
-1.6205 7.4154 6.0289
-0.0026 8.0681 9.8082
-1.6205 4.2438 1.9105
0.0026 5.0928 6.0706
-0.1944 3.3685 9.8290
0.1984 9.4083 6.9432
1.4318 4.2566 3.1134
-0.3874 7.8402 8.9438
1.9698 5.5875 8.9551
-0.1984 10.9099 14.8826
-1.4318 5.7582 11.0528
0.1984 2.2510 0.9962
-0.3874 6.8222 14.8745
-0.1984 3.7526 8.9356
-1.9698 4.0859 1.0157
1.4318 7.4026 4.8260
0.3874 5.3206 6.9350
1.9698 9.0749 14.8632
0.3874 6.3386 1.0044
-1.4318 8.9043 12.7655
-1.9698 7.5733 6.9238
-1.4222 2.5394 0.0000
1.4222 4.0410 7.9394
-1.4131 5.8296 3.9697
1.4131 7.3312 11.9091
```

SG	No. 15
total magnetization	0.00	Bohr magnetons per cell
E above lowest polymorph	0	meV/atom
V	10.4	Å³/atom

[7]
## Nd19Ti20O60 (PBE)

Data for Nd19Ti20O60 after structural relaxation.

```
Nd19Ti20O60
1.0
9.5785 0.0000 0.0000
3.2403 10.6630 0.0000
3.1154 2.2554 11.9648
O Ti Nd
60 20 19
Cartesian
11.4032 8.2817 11.6740
6.6063 6.6459 9.0569
2.9149 2.4694 5.2769
4.0927 6.7411 7.7698
6.0274 8.4175 2.7917
5.7395 10.2958 4.9762
4.3891 4.8923 5.6162
1.8520 2.2264 2.0552
4.5019 7.6972 5.0758
5.1322 4.2377 8.7563
11.5015 11.0690 11.1719
8.2293 12.1066 9.2934
11.8422 6.1701 4.1914
6.1570 10.1007 0.5142
9.2192 1.5636 0.3931
8.2148 9.0788 4.4638
10.3690 2.6785 7.0594
10.0605 1.4372 4.3264
13.0335 10.4773 6.7120
1.9660 5.0085 1.5649
7.0357 6.4707 4.6250
14.0631 10.7101 9.8480
3.4848 7.3995 1.8885
13.9738 7.9085 10.3844
9.1640 7.6242 9.9661
4.4451 1.8340 0.8217
5.2986 2.3991 6.6424
9.2405 4.7471 5.1668
11.5359 8.0472 6.3793
12.0695 2.6719 9.7587
12.4555 5.5130 10.0745
6.5188 3.7801 4.2452
11.4142 5.2749 6.8917
7.2305 2.9231 10.1672
10.5500 7.5204 0.5796
4.5447 4.6205 0.2901
5.1472 1.2165 3.9611
7.7342 3.8324 7.5891
9.9121 4.5136 9.1650
8.8868 3.4370 2.5684
6.7840 5.3073 1.9843
5.7548 7.2531 0.1703
3.8942 10.2398 2.2068
10.4565 10.4133 5.3824
10.7284 11.6339 8.1311
9.2924 9.2910 7.6816
6.0193 11.4324 7.5641
10.1816 5.6412 11.8105
10.8224 8.6654 3.1958
8.6821 9.9900 1.8045
9.3043 6.3025 2.8873
6.7524 8.3135 6.7746
8.8776 6.4628 7.3440
6.7159 11.3341 11.5653
7.0242 9.4674 9.4036
4.0756 3.6965 2.9903
9.7642 2.8118 11.4229
5.4095 5.3973 11.3594
7.7334 0.7491 2.6786
11.8195 9.1915 8.9732
7.9541 7.9649 8.3625
11.1505 12.9145 11.9635
12.7333 9.4994 10.7538
9.5782 1.5059 2.4246
4.8121 3.0507 4.7954
4.7513 6.0629 9.5593
11.1462 9.9484 7.1495
9.6121 10.2748 3.6159
3.2079 3.4214 1.1971
6.3659 2.6332 8.2978
6.3702 8.3755 4.8006
4.8179 8.7439 1.2044
6.3507 11.4051 9.5563
7.9581 4.9142 3.6334
9.5162 4.4995 7.1249
11.0865 1.1666 5.9693
12.7564 6.4728 5.9792
11.1990 6.8332 2.3975
11.1091 4.1532 10.7633
6.4091 5.3229 0.0007
11.0910 3.8298 3.9258
9.4357 1.9163 9.1054
6.3802 5.6188 6.8095
4.8551 5.9796 3.3095
4.6968 3.0858 11.0663
9.6201 4.1605 0.3700
11.0938 6.9022 8.6650
7.9836 10.7551 6.2818
9.5832 10.2549 9.9149
7.9614 7.6768 1.5125
6.3985 2.6408 2.1126
3.1731 3.3965 7.5304
9.6096 7.2346 5.1480
12.6987 9.6193 4.4445
11.2457 9.8234 0.8652
7.9707 5.2191 10.4384
6.4343 11.0343 2.7757
4.8111 9.0482 8.0525
6.3132 8.7376 11.6007
```

energy	-8.68	eV per atom
SG	No. 1
total magnetization	14.00	Bohr magnetons per cell
V	12.3	Å³/atom

[8]
## K7RbTi8P8O40 (PBE)

Data for K7RbTi8P8O40 after structural relaxation.

```
K7RbTi8P8O40
1.0
6.4808 0.0000 0.0000
0.0042 10.7038 0.0000
0.0194 0.0017 13.0058
O P Ti K Rb
40 8 8 7 1
Cartesian
1.2365 10.5526 5.0355
4.4905 0.4475 11.5321
2.9981 1.5231 3.6115
1.2884 2.5783 7.7445
5.2663 5.2013 7.9694
0.2744 1.5290 10.1375
4.4746 5.2006 1.4657
2.9819 4.2835 3.2960
3.3477 6.9506 6.6790
5.2214 7.9237 5.2643
5.2472 0.4457 5.0124
2.0315 10.5513 11.5446
3.4629 9.4428 6.3479
5.2051 8.3580 7.7690
0.2780 4.1621 2.9211
3.0403 4.0945 6.6531
3.5203 9.6336 9.7141
6.2405 6.8744 2.8886
3.5038 6.8751 9.3927
0.2141 4.0941 0.1523
1.9730 3.0163 11.7405
1.9720 2.5717 1.2375
6.2285 9.5118 10.0899
6.3886 6.9514 0.1755
0.2796 4.2846 9.7993
6.2508 6.7287 9.7778
2.9853 4.1636 9.4250
6.2905 9.4469 12.8557
3.1394 1.6001 6.3107
3.4940 6.7278 3.2750
2.0119 5.7978 1.4729
0.2546 1.3764 3.2256
3.0028 1.3760 9.7373
1.2483 5.7985 7.9752
3.5209 9.5123 3.5792
4.5326 7.9248 11.7692
6.2275 9.6327 3.2034
1.2913 3.0192 5.2357
0.1155 1.6019 12.8326
4.5331 8.3644 1.2676
2.1881 2.7941 6.4875
3.2440 5.4902 2.3581
1.0783 2.7892 12.9945
5.4262 8.1391 0.0123
3.2562 0.1378 10.6518
4.3098 8.1374 6.5142
0.0169 5.4904 8.8607
6.4855 0.1369 4.1382
3.2806 5.3800 8.1749
4.9548 8.0769 3.2894
1.7125 2.7260 3.2116
3.2201 0.0261 4.8265
0.0442 0.0259 11.3383
4.7913 8.0766 9.7946
6.4602 5.3777 1.6725
1.5538 2.7302 9.7196
1.8082 8.6868 1.5982
4.4951 0.7413 1.3573
1.2624 6.0939 5.1457
5.0510 3.3366 4.9025
1.4535 8.6866 8.1018
4.6969 3.3369 11.4087
2.0077 6.0943 11.6489
5.2724 0.7485 7.8606
```

energy	-7.51	eV per atom
SG	No. 1
total magnetization	0.00	Bohr magnetons per cell
V	14.1	Å³/atom

[9]
## LaSb2Au (PBE)

Data for LaSb2Au after structural relaxation.

```
LaSb2Au
1.0
-0.4710 4.4503 3.6501
-4.4928 2.0049 -3.0242
-4.0542 -3.4779 3.7172
Sb Au La
4 2 2
Cartesian
-2.0271 -1.7390 1.8586
-1.1549 1.4364 2.6681
-5.3812 -1.6867 1.3621
-4.5090 1.4887 2.1716
-2.4819 3.2276 0.3130
0.0000 0.0000 0.0000
-3.1916 -0.3107 4.5355
-3.3445 0.0605 -0.5053
```

energy	-4.63	eV per atom
SG	No. 129
total magnetization	0.00	Bohr magnetons per cell
V	27.1	Å³/atom

[10]
## KC2IN2 (PBE)

Data for KC2IN2 after structural relaxation.

```
KC2IN2
1.0
-0.0880 -3.7130 -2.4178
3.1377 -3.0173 0.8312
-5.3430 -4.1345 6.1899
I N K C
1 2 1 2
Cartesian
0.0000 0.0000 0.0000
-1.3227 -2.5883 1.8675
-0.9706 -8.2766 2.7358
-1.1467 -5.4324 2.3016
-0.8568 -1.7237 1.2198
-1.4365 -9.1412 3.3835
```

energy	-6.21	eV per atom
SG	No. 12
total magnetization	0.00	Bohr magnetons per cell
V	26.7	Å³/atom